DFT (GGA-PBE) results for a relaxed structure of Cs2ThAs2O8.

## Properties
Symmetry: I4_1/amd (141)
Spin magnetization in μB/f.u.: 0.0
Formation enthalpy at 0 K in kJ/mol of formula units: -3161.3

abc: 10.790 10.790 10.790
angles: 139.73 139.73 58.27
Positions (direct):
As (0.076, 0.576, 0.500)
O (0.134, 0.456, 0.322)
As (0.674, 0.674, 0.000)
As (0.326, 0.326, 0.000)
O (0.134, 0.813, 0.678)
O (0.544, 0.729, 0.815)
O (0.206, 0.521, 0.685)
O (0.206, 0.384, 0.822)
Th (0.500, 0.500, 0.000)
O (0.563, 0.384, 0.178)
O (0.187, 0.866, 0.322)
Cs (0.875, 0.125, 0.750)
As (0.424, 0.924, 0.500)
O (0.271, 0.086, 0.815)
O (0.616, 0.794, 0.178)
O (0.479, 0.164, 0.685)
Cs (0.875, 0.625, 0.750)
Cs (0.875, 0.125, 0.250)
O (0.271, 0.456, 0.185)
Th (0.250, 0.750, 0.500)
Cs (0.375, 0.125, 0.250)
O (0.544, 0.866, 0.678)
O (0.914, 0.729, 0.185)
O (0.836, 0.521, 0.315)
O (0.479, 0.794, 0.315)
O (0.616, 0.437, 0.822)

=====

DFT (GGA-PBE) results for a relaxed structure of Cs2MgCl4.

## Properties
Symmetry: Pnma (62)
Formation enthalpy at 0 K in kJ/mol of formula units: -1555.0

abc: 7.662 9.951 13.537
angles: 90.00 90.00 90.00
Positions (direct):
Cl (0.250, 0.495, 0.912)
Cl (0.250, 0.313, 0.415)
Cs (0.250, 0.638, 0.593)
Cs (0.750, 0.862, 0.093)
Cl (0.250, 0.995, 0.588)
Cl (0.997, 0.681, 0.346)
Cl (0.750, 0.687, 0.585)
Cl (0.497, 0.819, 0.846)
Cs (0.750, 0.518, 0.819)
Cl (0.003, 0.319, 0.654)
Cl (0.750, 0.505, 0.088)
Cl (0.750, 0.005, 0.412)
Cl (0.503, 0.681, 0.346)
Cl (0.497, 0.319, 0.654)
Cs (0.250, 0.482, 0.181)
Cl (0.003, 0.819, 0.846)
Cl (0.750, 0.187, 0.915)
Mg (0.750, 0.271, 0.077)
Mg (0.250, 0.729, 0.923)
Cs (0.250, 0.982, 0.319)
Cs (0.250, 0.138, 0.907)
Mg (0.750, 0.771, 0.423)
Cs (0.750, 0.362, 0.407)
Cl (0.997, 0.181, 0.154)
Cs (0.750, 0.018, 0.681)
Mg (0.250, 0.229, 0.577)
Cl (0.503, 0.181, 0.154)
Cl (0.250, 0.813, 0.085)

=====

DFT (GGA-PBE) results for a relaxed structure of Na3ZrGaSiP2O12.

## Properties
Spin magnetization in μB/f.u.: 0.0
Formation enthalpy at 0 K in kJ/mol of formula units: -5464.5

abc: 15.652 8.954 8.988
angles: 90.00 124.44 90.00
Positions (direct):
Zr (0.394, 0.258, 0.937)
O (0.571, 0.449, 0.435)
O (0.426, 0.648, 0.254)
O (0.536, 0.161, 0.055)
Na (0.687, 0.568, 0.781)
O (0.135, 0.646, 0.409)
O (0.446, 0.442, 0.094)
O (0.644, 0.083, 0.736)
O (0.135, 0.354, 0.909)
O (0.536, 0.839, 0.555)
O (0.740, 0.181, 0.254)
O (0.240, 0.319, 0.754)
Zr (0.894, 0.758, 0.937)
O (0.848, 0.351, 0.587)
Ga (0.105, 0.260, 0.059)
O (0.426, 0.352, 0.754)
O (0.450, 0.172, 0.431)
O (0.254, 0.828, 0.747)
O (0.345, 0.938, 0.260)
P (0.508, 0.544, 0.261)
Na (0.504, 0.892, 0.258)
O (0.348, 0.149, 0.087)
Na (0.504, 0.108, 0.758)
Ga (0.605, 0.760, 0.059)
O (0.644, 0.917, 0.236)
O (0.845, 0.562, 0.760)
O (0.926, 0.148, 0.254)
O (0.754, 0.328, 0.747)
P (0.851, 0.387, 0.760)
Na (0.004, 0.392, 0.258)
O (0.635, 0.854, 0.909)
O (0.446, 0.558, 0.594)
O (0.071, 0.051, 0.935)
O (0.071, 0.949, 0.435)
O (0.740, 0.819, 0.754)
Na (0.250, 0.277, 0.491)
Na (0.687, 0.432, 0.281)
Na (0.750, 0.777, 0.491)
P (0.351, 0.887, 0.760)
O (0.085, 0.859, 0.747)
Zr (0.394, 0.742, 0.437)
O (0.845, 0.438, 0.260)
Ga (0.105, 0.740, 0.559)
O (0.950, 0.672, 0.431)
Na (0.187, 0.932, 0.281)
O (0.754, 0.672, 0.247)
P (0.851, 0.613, 0.260)
P (0.008, 0.044, 0.261)
Si (0.141, 0.401, 0.742)
O (0.848, 0.649, 0.087)
O (0.950, 0.328, 0.931)
O (0.946, 0.942, 0.094)
P (0.008, 0.956, 0.761)
Na (0.187, 0.068, 0.781)
O (0.635, 0.146, 0.409)
O (0.585, 0.359, 0.747)
O (0.946, 0.058, 0.594)
O (0.144, 0.417, 0.236)
Si (0.641, 0.901, 0.742)
P (0.351, 0.113, 0.260)
O (0.571, 0.551, 0.935)
Si (0.641, 0.099, 0.242)
O (0.036, 0.339, 0.555)
Ga (0.605, 0.240, 0.559)
O (0.254, 0.172, 0.247)
O (0.450, 0.828, 0.931)
O (0.036, 0.661, 0.055)
O (0.585, 0.641, 0.247)
Si (0.141, 0.599, 0.242)
O (0.348, 0.851, 0.587)
Na (0.750, 0.223, 0.991)
Zr (0.894, 0.242, 0.437)
O (0.345, 0.062, 0.760)
O (0.085, 0.141, 0.247)
Na (0.004, 0.608, 0.758)
P (0.508, 0.456, 0.761)
O (0.926, 0.852, 0.754)
O (0.144, 0.583, 0.736)
O (0.240, 0.681, 0.254)
Na (0.250, 0.723, 0.991)

=====

DFT (GGA-PBE) results for a relaxed structure of Sn4P3.

## Properties
Symmetry: R-3m (166)
Formation enthalpy at 0 K in kJ/mol of formula units: -28.7

abc: 12.185 12.185 12.185
angles: 18.98 18.98 18.98
Positions (direct):
Sn (0.133, 0.133, 0.133)
P (0.571, 0.571, 0.571)
Sn (0.710, 0.710, 0.710)
P (0.000, 0.000, 0.000)
Sn (0.290, 0.290, 0.290)
P (0.429, 0.429, 0.429)
Sn (0.867, 0.867, 0.867)